[1]
VASP calculation (PBE) on a relaxed Cu4H7SO11 crystal.

E_tot, eV/atom: -4.988
ρ, g/cm3: 3.0
Formation enthalpy at 0 K, eV per atom: -1.02

abc: 8.265 6.526 11.046
angles: 90.00 118.71 90.00
Positions (direct):
Cu 0.000 0.008 0.000
Cu 0.000 0.992 0.500
Cu 0.036 0.472 0.041
Cu 0.036 0.528 0.541
Cu 0.869 0.304 0.179
Cu 0.869 0.696 0.679
Cu 0.925 0.178 0.716
Cu 0.925 0.822 0.216
H 0.139 0.152 0.242
H 0.139 0.848 0.742
H 0.271 0.329 0.936
H 0.271 0.671 0.436
H 0.307 0.267 0.082
H 0.307 0.733 0.582
H 0.337 0.011 0.254
H 0.337 0.989 0.754
H 0.463 0.239 0.858
H 0.463 0.761 0.358
H 0.521 0.438 0.951
H 0.521 0.562 0.451
H 0.726 0.043 0.266
H 0.726 0.957 0.766
S 0.375 0.257 0.563
S 0.375 0.743 0.063
O 0.142 0.016 0.203
O 0.142 0.984 0.703
O 0.176 0.261 0.536
O 0.176 0.739 0.036
O 0.202 0.299 0.992
O 0.202 0.701 0.492
O 0.387 0.228 0.438
O 0.387 0.772 0.938
O 0.417 0.349 0.895
O 0.417 0.651 0.395
O 0.453 0.028 0.637
O 0.453 0.972 0.137
O 0.477 0.013 0.777
O 0.477 0.987 0.277
O 0.488 0.412 0.659
O 0.488 0.588 0.159
O 0.856 0.063 0.289
O 0.856 0.937 0.789
O 0.866 0.247 0.001
O 0.866 0.753 0.501
O 0.951 0.434 0.664
O 0.951 0.566 0.164

=====

[2]
VASP calculation (PBE) on a relaxed NaH5CO4 crystal.

E_tot, eV/atom: -5.440
ρ, g/cm3: 1.6
Formation enthalpy at 0 K, eV per atom: -1.39

abc: 7.692 3.736 8.212
angles: 90.00 110.90 90.00
Positions (direct):
Na 0.188 0.000 0.155
Na 0.812 0.500 0.845
H 0.035 0.163 0.610
H 0.316 0.935 0.559
H 0.338 0.588 0.973
H 0.452 0.186 0.499
H 0.498 0.978 0.855
H 0.502 0.478 0.145
H 0.548 0.686 0.501
H 0.662 0.088 0.027
H 0.684 0.435 0.441
H 0.965 0.663 0.390
C 0.103 0.005 0.731
C 0.897 0.505 0.269
O 0.023 0.999 0.841
O 0.254 0.845 0.745
O 0.361 0.985 0.462
O 0.366 0.509 0.094
O 0.634 0.009 0.906
O 0.639 0.485 0.538
O 0.746 0.345 0.255
O 0.977 0.499 0.159

=====

[3]
VASP calculation (PBE) on a relaxed Rb2ScCuF6 crystal.

E_tot, eV/atom: -5.261
ρ, g/cm3: 4.0
Formation enthalpy at 0 K, eV per atom: -3.15

abc: 6.127 6.127 6.127
angles: 60.00 60.00 60.00
Positions (direct):
Rb 0.250 0.250 0.250
Rb 0.750 0.750 0.750
Sc 0.000 0.000 0.000
Cu 0.500 0.500 0.500
F 0.236 0.236 0.764
F 0.236 0.764 0.236
F 0.236 0.764 0.764
F 0.764 0.236 0.236
F 0.764 0.236 0.764
F 0.764 0.764 0.236

=====

[4]
VASP calculation (PBE) on a relaxed Ba36Al9Sn23 crystal.

E_tot, eV/atom: -3.439
ρ, g/cm3: 5.0
Formation enthalpy at 0 K, eV per atom: -0.57

abc: 13.110 14.103 14.103
angles: 90.14 90.00 90.00
Positions (direct):
Ba 0.000 0.028 0.433
Ba 0.000 0.121 0.933
Ba 0.000 0.216 0.621
Ba 0.000 0.433 0.028
Ba 0.000 0.528 0.716
Ba 0.000 0.621 0.216
Ba 0.000 0.716 0.528
Ba 0.000 0.933 0.121
Ba 0.250 0.049 0.250
Ba 0.250 0.250 0.049
Ba 0.250 0.400 0.600
Ba 0.250 0.600 0.400
Ba 0.251 0.100 0.749
Ba 0.251 0.549 0.900
Ba 0.251 0.749 0.100
Ba 0.251 0.900 0.549
Ba 0.351 0.325 0.325
Ba 0.352 0.824 0.824
Ba 0.500 0.038 0.417
Ba 0.500 0.111 0.917
Ba 0.500 0.231 0.611
Ba 0.500 0.417 0.038
Ba 0.500 0.537 0.731
Ba 0.500 0.611 0.231
Ba 0.500 0.731 0.537
Ba 0.500 0.917 0.111
Ba 0.648 0.824 0.824
Ba 0.649 0.325 0.325
Ba 0.749 0.100 0.749
Ba 0.749 0.549 0.900
Ba 0.749 0.749 0.100
Ba 0.749 0.900 0.549
Ba 0.750 0.049 0.250
Ba 0.750 0.250 0.049
Ba 0.750 0.400 0.600
Ba 0.750 0.600 0.400
Al 0.000 0.440 0.440
Al 0.101 0.259 0.394
Al 0.101 0.394 0.259
Al 0.102 0.757 0.757
Al 0.102 0.892 0.892
Al 0.898 0.757 0.757
Al 0.898 0.892 0.892
Al 0.899 0.259 0.394
Al 0.899 0.394 0.259
Sn 0.000 0.200 0.200
Sn 0.000 0.699 0.949
Sn 0.000 0.949 0.699
Sn 0.130 0.324 0.825
Sn 0.130 0.825 0.324
Sn 0.244 0.156 0.492
Sn 0.244 0.492 0.156
Sn 0.244 0.656 0.656
Sn 0.244 0.993 0.993
Sn 0.373 0.324 0.824
Sn 0.373 0.824 0.324
Sn 0.500 0.174 0.174
Sn 0.500 0.475 0.475
Sn 0.500 0.674 0.975
Sn 0.500 0.975 0.674
Sn 0.627 0.324 0.824
Sn 0.627 0.824 0.324
Sn 0.756 0.156 0.492
Sn 0.756 0.492 0.156
Sn 0.756 0.656 0.656
Sn 0.756 0.993 0.993
Sn 0.870 0.324 0.825
Sn 0.870 0.825 0.324

=====

Question: Among the records above, which one has the highest formation enthalpy at 0 K?
Answer: Ba36Al9Sn23

=====

Question: What is the formation enthalpy at 0 K in the third record?
Answer: -3.15 eV per atom